# Er3Si13Ir4 | Materials Project | PBE | optimized geometry
data_Er3Si13Ir4
_chemical_formula_sum 'Er6 Si26 Ir8'
_cell_length_a 8.745
_cell_length_b 8.745
_cell_length_c 8.745
_cell_angle_alpha 90.00
_cell_angle_beta 90.00
_cell_angle_gamma 90.00
_symmetry_space_group_name_H-M 'P m -3 n'
_symmetry_Int_Tables_number 223
_symmetry_space_group_name_Hall '-P 4n 2 3'
loop_
_atom_site_label
_atom_site_type_symbol
_atom_site_fract_x
_atom_site_fract_y
_atom_site_fract_z
Er1 Er 0.000 0.250 0.500
Si1 Si 0.000 0.000 0.000
Si2 Si 0.000 0.295 0.138
Ir1 Ir 0.250 0.250 0.250
# DFT formation energy	-601	meV/atom
# spin magnetization	0.001	μB/atom